Entry 1:
Ta2Si3Ge2S3O24: relaxed, GGA-PBE.

Results
raw total energy = -7.29 eV/atom

Cell lengths 8.652, 8.669, 22.417 Å; angles 88.93, 89.13, 60.45 degrees
Fractional positions:
Ta 0.000 0.000 0.000
Ta 0.013 0.991 0.504
Ta 0.325 0.333 0.335
Ta 0.344 0.334 0.831
Ta 0.660 0.658 0.667
Ta 0.681 0.653 0.170
Si 0.067 0.311 0.225
Si 0.283 0.725 0.889
Si 0.337 0.056 0.723
Si 0.400 0.647 0.557
Si 0.625 0.050 0.227
Si 0.635 0.309 0.723
Si 0.650 0.386 0.060
Si 0.969 0.383 0.560
Si 0.984 0.727 0.392
Ge 0.026 0.990 0.777
Ge 0.344 0.326 0.618
Ge 0.356 0.318 0.127
Ge 0.645 0.659 0.952
Ge 0.696 0.649 0.460
Ge 0.975 0.011 0.286
S 0.050 0.625 0.725
S 0.293 0.989 0.392
S 0.325 0.625 0.225
S 0.386 0.957 0.058
S 0.662 0.956 0.558
S 0.716 0.989 0.894
S 0.717 0.294 0.392
S 0.956 0.658 0.057
S 0.991 0.298 0.893
O 0.020 0.183 0.947
O 0.021 0.818 0.449
O 0.029 0.803 0.735
O 0.043 0.142 0.241
O 0.129 0.512 0.781
O 0.133 0.508 0.066
O 0.145 0.363 0.282
O 0.154 0.312 0.888
O 0.162 0.553 0.673
O 0.163 0.357 0.570
O 0.163 0.532 0.381
O 0.163 0.817 0.949
O 0.164 0.031 0.731
O 0.175 0.802 0.233
O 0.176 0.030 0.445
O 0.179 0.853 0.833
O 0.180 0.298 0.164
O 0.203 0.826 0.548
O 0.204 0.975 0.049
O 0.210 0.968 0.338
O 0.295 0.547 0.171
O 0.299 0.184 0.666
O 0.303 0.530 0.882
O 0.307 0.157 0.386
O 0.357 0.147 0.784
O 0.361 0.137 0.064
O 0.367 0.509 0.279
O 0.373 0.481 0.570
O 0.461 0.844 0.111
O 0.469 0.839 0.400
O 0.472 0.371 0.070
O 0.474 0.700 0.615
O 0.479 0.707 0.898
O 0.490 0.642 0.217
O 0.496 0.880 0.003
O 0.499 0.143 0.284
O 0.505 0.360 0.783
O 0.507 0.133 0.563
O 0.515 0.864 0.716
O 0.516 0.634 0.496
O 0.537 0.150 0.889
O 0.537 0.290 0.666
O 0.539 0.309 0.383
O 0.546 0.170 0.166
O 0.626 0.507 0.000
O 0.632 0.878 0.504
O 0.639 0.859 0.213
O 0.653 0.489 0.719
O 0.690 0.478 0.116
O 0.696 0.472 0.398
O 0.700 0.828 0.906
O 0.701 0.845 0.612
O 0.795 0.179 0.444
O 0.797 0.026 0.948
O 0.809 0.705 0.403
O 0.820 0.026 0.233
O 0.822 0.139 0.743
O 0.822 0.961 0.841
O 0.822 0.979 0.550
O 0.826 0.192 0.047
O 0.828 0.218 0.336
O 0.836 0.479 0.617
O 0.837 0.480 0.903
O 0.840 0.698 0.111
O 0.870 0.489 0.215
O 0.873 0.637 0.004
O 0.873 0.644 0.720
O 0.885 0.503 0.500
O 0.955 0.225 0.840
O 0.967 0.846 0.332
O 0.970 0.826 0.050
O 0.975 0.194 0.546

Entry 2:
Y2SiGe2S5O24: relaxed, GGA-PBE.

Results
raw total energy = -6.70 eV/atom

Cell lengths 8.828, 8.833, 22.871 Å; angles 90.05, 90.42, 119.73 degrees
Fractional positions:
Y 0.000 0.000 0.000
Y 0.001 0.989 0.503
Y 0.339 0.664 0.942
Y 0.666 0.340 0.818
Y 0.669 0.321 0.323
Y 0.673 0.323 0.126
Si 0.056 0.646 0.558
Si 0.665 0.638 0.719
Si 0.669 0.015 0.223
Ge 0.326 0.661 0.455
Ge 0.342 0.675 0.658
Ge 0.343 0.671 0.161
Ge 0.693 0.375 0.617
Ge 0.995 0.991 0.778
Ge 0.998 0.000 0.286
S 0.004 0.723 0.883
S 0.026 0.301 0.390
S 0.061 0.394 0.060
S 0.275 0.269 0.882
S 0.282 0.981 0.389
S 0.336 0.943 0.059
S 0.354 0.331 0.222
S 0.357 0.397 0.557
S 0.365 0.031 0.718
S 0.603 0.956 0.557
S 0.615 0.661 0.059
S 0.698 0.714 0.389
S 0.725 0.001 0.882
S 0.972 0.331 0.718
S 0.984 0.647 0.222
O 0.012 0.826 0.234
O 0.028 0.832 0.830
O 0.035 0.814 0.553
O 0.046 0.220 0.058
O 0.054 0.219 0.335
O 0.140 0.610 0.498
O 0.142 0.490 0.006
O 0.147 0.482 0.709
O 0.157 0.660 0.211
O 0.163 0.710 0.886
O 0.165 0.185 0.828
O 0.170 0.949 0.333
O 0.172 0.479 0.114
O 0.177 0.676 0.616
O 0.177 0.956 0.056
O 0.182 0.170 0.234
O 0.187 0.011 0.728
O 0.193 0.475 0.396
O 0.195 0.173 0.936
O 0.200 0.009 0.439
O 0.202 0.226 0.549
O 0.291 0.443 0.885
O 0.299 0.820 0.396
O 0.311 0.832 0.111
O 0.324 0.480 0.211
O 0.328 0.477 0.609
O 0.344 0.854 0.710
O 0.358 0.865 0.005
O 0.396 0.506 0.503
O 0.429 0.295 0.170
O 0.443 0.146 0.667
O 0.446 0.282 0.878
O 0.454 0.134 0.381
O 0.472 0.374 0.273
O 0.473 0.100 0.771
O 0.489 0.117 0.065
O 0.494 0.660 0.704
O 0.494 0.875 0.502
O 0.496 0.822 0.210
O 0.513 0.370 0.565
O 0.516 0.641 0.005
O 0.520 0.702 0.398
O 0.527 0.685 0.112
O 0.531 0.840 0.609
O 0.554 0.841 0.885
O 0.614 0.126 0.566
O 0.618 0.517 0.775
O 0.626 0.102 0.277
O 0.634 0.508 0.066
O 0.674 0.540 0.379
O 0.707 0.155 0.876
O 0.712 0.545 0.663
O 0.717 0.139 0.166
O 0.776 0.974 0.549
O 0.778 0.826 0.336
O 0.786 0.821 0.057
O 0.808 0.793 0.441
O 0.811 0.975 0.829
O 0.824 0.021 0.937
O 0.841 0.830 0.730
O 0.847 0.001 0.237
O 0.850 0.290 0.667
O 0.850 0.549 0.878
O 0.860 0.469 0.566
O 0.870 0.577 0.171
O 0.879 0.331 0.381
O 0.891 0.381 0.065
O 0.898 0.364 0.771
O 0.906 0.533 0.273
O 0.983 0.802 0.937
O 0.991 0.171 0.727
O 0.996 0.192 0.441

Entry 3:
ZrSiGeS2O12: relaxed, GGA-PBE.

Results
raw total energy = -6.98 eV/atom

Cell lengths 8.716, 8.726, 22.627 Å; angles 89.97, 89.70, 60.17 degrees
Fractional positions:
Zr 0.000 0.000 0.000
Zr 0.004 0.002 0.511
Zr 0.306 0.338 0.340
Zr 0.317 0.339 0.556
Zr 0.648 0.679 0.169
Zr 0.989 0.031 0.219
Si 0.268 0.039 0.108
Si 0.282 0.726 0.622
Si 0.337 0.036 0.446
Si 0.338 0.608 0.942
Si 0.915 0.406 0.284
Si 0.922 0.678 0.782
Ge 0.292 0.366 0.838
Ge 0.321 0.348 0.046
Ge 0.639 0.688 0.883
Ge 0.645 0.675 0.386
Ge 0.650 0.670 0.682
Ge 0.981 0.984 0.722
S 0.013 0.633 0.447
S 0.024 0.362 0.943
S 0.351 0.975 0.783
S 0.362 0.684 0.282
S 0.585 0.060 0.942
S 0.604 0.355 0.447
S 0.649 0.380 0.780
S 0.656 0.956 0.281
S 0.680 0.295 0.110
S 0.699 0.000 0.620
S 0.967 0.303 0.621
S 0.997 0.714 0.110
O 0.000 0.190 0.673
O 0.019 0.796 0.164
O 0.098 0.523 0.500
O 0.104 0.392 0.996
O 0.109 0.386 0.289
O 0.118 0.502 0.789
O 0.124 0.323 0.612
O 0.127 0.562 0.395
O 0.142 0.312 0.889
O 0.145 0.070 0.167
O 0.145 0.817 0.678
O 0.159 0.022 0.454
O 0.159 0.542 0.101
O 0.165 0.801 0.951
O 0.170 0.004 0.774
O 0.173 0.999 0.053
O 0.183 0.836 0.276
O 0.195 0.849 0.564
O 0.280 0.215 0.094
O 0.294 0.525 0.885
O 0.300 0.163 0.390
O 0.301 0.536 0.607
O 0.341 0.150 0.792
O 0.353 0.522 0.290
O 0.360 0.133 0.504
O 0.370 0.489 0.002
O 0.423 0.858 0.836
O 0.436 0.721 0.336
O 0.458 0.868 0.120
O 0.464 0.662 0.228
O 0.466 0.898 0.730
O 0.475 0.134 0.996
O 0.475 0.711 0.635
O 0.489 0.385 0.500
O 0.494 0.353 0.787
O 0.503 0.311 0.104
O 0.506 0.139 0.287
O 0.508 0.169 0.889
O 0.509 0.843 0.435
O 0.510 0.635 0.930
O 0.522 0.157 0.614
O 0.525 0.329 0.394
O 0.602 0.881 0.936
O 0.605 0.498 0.727
O 0.616 0.884 0.228
O 0.619 0.516 0.442
O 0.659 0.472 0.117
O 0.677 0.853 0.335
O 0.683 0.459 0.833
O 0.685 0.841 0.629
O 0.759 0.189 0.164
O 0.761 0.040 0.951
O 0.774 0.044 0.673
O 0.777 0.198 0.457
O 0.789 0.213 0.057
O 0.792 0.716 0.839
O 0.795 0.496 0.343
O 0.805 0.974 0.567
O 0.807 0.481 0.627
O 0.812 0.206 0.770
O 0.819 0.962 0.272
O 0.829 0.515 0.224
O 0.832 0.642 0.724
O 0.841 0.643 0.440
O 0.843 0.688 0.116
O 0.851 0.523 0.935
O 0.933 0.213 0.278
O 0.935 0.228 0.567
O 0.939 0.856 0.774
O 0.959 0.829 0.058
O 0.984 0.813 0.457
O 0.995 0.210 0.950

In the order shown, the computed magnetic moment values come out to 0.0 0.0 0.0 μB/f.u..